(1)
A geometry-optimized KTi2H2F11 structure. Source: Materials Project, functional PBE.

Geometry as extended XYZ:
```
64
Lattice="10.514 0.000 0.000 -5.136 -9.212 0.000 -4.605 0.217 -9.812" Properties=species:S:1:pos:R:3 pbc="T T T"
F -7.889 -5.813 -9.764
F -0.861 -8.808 -9.748
H 1.998 -7.257 -6.204
F -1.353 -6.108 -5.799
H 0.286 -6.663 -3.683
F 3.115 -6.138 -2.380
F 2.287 -8.678 -2.171
F 1.346 -1.139 -9.791
Ti -4.205 -6.674 -8.685
F -3.853 -2.494 -9.690
F 2.134 -4.102 -7.689
F 8.662 -3.182 -0.048
Ti 1.260 -5.270 -8.735
Ti -0.488 -3.725 -1.077
F -3.470 -8.019 -7.712
K -2.516 -7.723 -1.974
H -1.182 -7.696 -5.915
Ti 3.480 -7.765 -1.184
K -5.349 -8.315 -5.379
F 0.995 -1.556 -6.393
F -5.494 -6.368 -7.457
F 3.866 -4.799 -4.630
F 4.625 -6.501 -0.122
Ti 4.977 -2.321 -1.128
H -3.708 -5.387 -4.235
F -1.631 -1.248 -4.334
F 1.810 -0.346 -3.835
H 4.480 -3.608 -5.578
Ti -1.804 -4.453 -6.470
F -4.696 -5.014 -9.664
F -4.133 -0.887 -7.577
F -3.055 -5.353 -7.650
F 4.750 -2.760 -5.952
F -1.361 -4.893 -2.123
F -0.574 -7.857 -0.021
F -3.093 -4.197 -5.182
F 3.827 -3.643 -2.163
F 5.468 -3.981 -0.149
F 1.259 -5.500 -4.186
F -0.487 -3.496 -5.627
F 1.340 -6.643 -7.510
F -0.568 -2.353 -2.302
F 6.266 -2.628 -2.355
K 6.121 -0.680 -4.433
F -1.038 -8.649 -5.978
F 2.125 -2.888 -4.013
H 0.486 -2.333 -6.129
F -1.214 -2.032 -9.718
Ti -2.708 -1.231 -8.628
F 4.906 -8.108 -2.235
F 1.634 -0.187 -0.064
F 1.268 -4.266 -1.904
F -3.978 -6.235 -3.860
F -2.343 -2.858 -7.433
F 4.243 -0.977 -2.100
F -1.515 -0.317 -7.641
F 1.986 -6.964 -0.095
H -1.225 -1.739 -3.609
K 3.289 -1.273 -7.839
F 2.404 -7.748 -5.478
F -0.495 -4.729 -7.908
Ti 2.576 -4.543 -3.343
H 1.955 -1.300 -3.897
F -0.223 -7.440 -3.420
```

Output
size of the total moment	0.0	μB per formula unit
energy relative to the elements	-51.27	eV per formula unit
volume	14.85	Å³ per atom
E	-363.7	eV per cell

(2)
A geometry-optimized Na4Ti3O8 structure. Source: Materials Project, functional PBE.

Geometry as extended XYZ:
```
15
Lattice="-3.948 -2.016 -4.210 -3.118 -5.159 1.022 -6.398 0.447 1.284" Properties=species:S:1:pos:R:3 pbc="T T T"
O -5.564 -2.368 -2.561
O -6.216 -1.496 0.088
Ti -3.199 0.224 0.642
O -5.101 -4.120 0.356
Na -1.559 -2.579 0.511
Ti -4.758 -2.356 1.153
O -7.248 -5.231 -1.992
O -8.363 -2.607 -2.260
O -9.895 -5.185 -1.544
Na -6.732 -3.364 -0.952
Na 0.000 0.000 0.000
Ti -5.173 -0.784 -1.463
O -7.900 -4.359 0.657
Na -1.974 -1.008 -2.105
O -3.569 -1.542 -0.360
```

Output
size of the total moment	0.0	μB per formula unit
energy relative to the elements	-42.77	eV per formula unit
volume	11.86	Å³ per atom
E	-105.8	eV per cell

(3)
A geometry-optimized Ce3Al structure. Source: Materials Project, functional PBE.

Geometry as extended XYZ:
```
4
Lattice="4.692 0.000 0.000 0.000 4.692 0.000 0.000 0.000 4.692" Properties=species:S:1:pos:R:3 pbc="T T T"
Ce 2.346 0.000 2.346
Ce 2.346 2.346 0.000
Al 0.000 0.000 0.000
Ce 0.000 2.346 2.346
```

Output
distance to the lowest polymorph of the same formula	4	meV per atom
energy relative to the elements	-0.64	eV per formula unit
volume	25.83	Å³ per atom
E	-22.2	eV per cell

(4)
A geometry-optimized LiLuSn2 structure. Source: Materials Project, functional PBE.

Geometry as extended XYZ:
```
8
Lattice="2.420 0.748 -3.468 -0.790 -4.147 -1.446 -8.980 2.760 -3.010" Properties=species:S:1:pos:R:3 pbc="T T T"
Li -5.683 -1.057 -4.193
Sn -4.111 0.541 -2.751
Lu -2.233 -2.449 -2.086
Sn -7.657 -0.261 -5.398
Lu -5.117 1.809 -5.838
Sn 0.307 -0.378 -2.526
Sn -3.240 -1.181 -5.174
Li -1.667 0.418 -3.732
```

Output
size of the total moment	0.0	μB per formula unit
energy relative to the elements	-1.23	eV per formula unit
volume	23.07	Å³ per atom
E	-31.4	eV per cell

(5)
A geometry-optimized Na9Ta8Zn4Si3P15O72 structure. Source: Materials Project, functional PBE.

Geometry as extended XYZ:
```
111
Lattice="8.856 -0.009 -0.009 -4.436 7.670 -0.001 -0.023 -0.016 22.467" Properties=species:S:1:pos:R:3 pbc="T T T"
Na 4.403 2.520 7.217
O -1.586 5.394 16.981
O 3.857 1.028 20.737
Ta -0.007 0.011 3.283
O -3.456 6.367 15.650
O 5.295 1.139 16.789
O 6.066 2.348 11.868
O 2.759 7.415 9.307
Zn 4.424 2.517 4.073
O -1.554 5.037 1.627
O 0.707 1.366 9.342
Ta 4.403 2.562 21.998
O 3.446 1.273 11.853
Zn 4.442 2.545 15.324
O -0.671 1.513 20.563
O 0.704 3.674 10.634
Zn 4.397 7.624 19.168
O -0.593 3.655 5.725
O 5.412 1.233 0.620
O -1.677 4.892 8.049
Na 0.068 5.120 3.697
Ta -0.011 5.077 11.711
O 5.032 0.833 3.122
Na 0.009 5.040 14.925
O 3.426 6.361 4.370
O 5.150 3.997 16.684
O 3.788 4.090 11.873
P -1.303 7.327 20.575
O 5.588 3.977 3.313
O -0.694 6.640 19.297
P 2.539 5.078 20.599
Na 8.749 0.005 11.061
O 7.850 1.429 6.916
O 1.024 1.342 18.129
P 3.137 4.761 13.149
Ta -0.013 0.001 14.530
P 6.967 2.528 13.137
O 7.125 0.136 18.171
O 3.278 3.928 14.377
Na 3.215 0.119 16.676
O 5.016 3.996 0.646
P 5.711 0.347 1.881
P 3.149 5.465 5.661
Ta -0.027 5.113 0.465
O 6.198 2.847 14.377
O 0.959 3.820 8.047
O 0.916 3.764 1.596
P 6.301 0.007 16.931
O -0.897 3.722 12.877
O 3.364 3.743 20.727
O 0.965 6.319 17.007
O 0.610 1.513 15.628
O 3.755 0.836 14.541
O 2.774 2.311 0.617
O 2.745 2.441 16.722
O 0.767 6.560 1.588
O 1.472 0.185 13.284
O 5.979 2.799 20.735
Na 4.473 2.653 18.470
Si 1.277 2.847 9.359
O 1.557 5.430 5.749
P 1.271 7.312 9.370
O -3.429 6.278 9.308
P 7.541 2.191 5.664
O -0.778 3.656 21.825
O 6.056 2.480 5.534
Ta -0.016 5.075 18.213
O 3.524 1.197 5.460
O 2.939 2.782 9.499
O 0.572 6.654 8.119
O 1.831 0.145 6.996
O 0.509 3.600 17.008
O 0.951 1.298 2.017
O -1.048 6.315 5.702
P -2.565 5.040 9.337
Na 2.688 0.223 9.174
O 3.674 4.056 5.478
O 5.489 3.722 9.500
Ta 0.044 5.073 6.969
O 1.614 4.993 12.868
O -2.857 7.492 4.457
O 2.749 7.462 15.633
P 2.590 0.038 5.686
O 3.771 6.104 6.876
O -1.025 3.773 19.344
Ta 4.388 2.555 10.791
O 4.970 1.024 9.515
O -0.875 6.442 21.786
Si 3.124 0.313 13.193
P 1.874 2.556 1.886
O -0.695 1.534 4.384
O -0.732 6.473 12.870
O 7.839 1.235 13.243
Na 5.932 4.801 5.432
O 5.004 6.281 2.040
P 5.646 5.400 16.907
Zn 8.803 0.043 7.931
O 3.420 6.292 20.554
O -2.801 7.443 20.562
O 5.136 6.038 18.162
O 2.656 2.859 3.122
Na -4.449 7.643 22.260
O 1.603 4.896 19.345
P 1.262 2.199 16.917
O -1.599 5.198 10.548
O 3.770 6.184 13.249
O 1.602 5.150 21.825
O 0.855 6.472 10.607
P -1.316 2.868 20.595
O 7.268 0.248 1.998
Si 5.696 4.777 1.957
```

Output
size of the total moment	0.0	μB per formula unit
energy relative to the elements	-314.81	eV per formula unit
volume	13.74	Å³ per atom
E	-830.9	eV per cell

(6)
A geometry-optimized ScCoSi structure. Source: Materials Project, functional PBE.

Geometry as extended XYZ:
```
6
Lattice="-0.361 5.044 5.575 -3.104 -5.143 -4.534 0.783 -2.556 2.363" Properties=species:S:1:pos:R:3 pbc="T T T"
Sc -1.275 0.283 2.075
Si -2.234 -3.278 -1.459
Co -0.303 3.894 5.658
Co -2.380 -6.549 -2.255
Si -0.448 0.623 4.862
Sc -1.407 -2.938 1.329
```

Output
size of the total moment	0.7	μB per formula unit
energy relative to the elements	-0.24	eV per formula unit
volume	15.72	Å³ per atom
E	-38.4	eV per cell

(7)
A geometry-optimized Na5Ca2Al2P3S3O24 structure. Source: Materials Project, functional PBE.

Geometry as extended XYZ:
```
117
Lattice="9.059 -0.034 -0.024 -4.559 7.826 -0.147 -0.061 -0.494 22.021" Properties=species:S:1:pos:R:3 pbc="T T T"
Na 7.310 2.330 16.413
O -1.852 4.756 7.810
O 2.732 7.132 15.169
Na 6.115 -0.340 20.061
O 5.896 2.469 20.150
Al -4.486 7.713 3.221
Na 1.551 7.252 12.525
O 7.855 1.063 20.000
O 2.804 2.296 0.575
O 3.409 3.325 20.159
O -1.901 5.261 1.621
O 0.918 5.974 16.487
O 3.533 0.562 14.012
Na 2.891 4.660 16.277
O 4.951 1.027 9.300
P 1.116 7.436 9.066
O 5.551 3.513 9.067
O 1.087 1.106 1.786
Na -0.055 4.796 3.551
O -1.580 5.187 16.519
Na -0.230 4.911 14.569
O -1.015 6.170 5.456
Na -1.604 7.518 1.598
Na 7.433 2.124 9.006
O 3.528 5.959 6.597
S 6.088 0.284 1.779
O 3.946 3.822 11.608
O 4.069 0.773 20.360
P 5.652 4.966 1.793
O -3.435 6.073 15.205
O 5.456 4.287 3.133
Al 4.394 2.251 21.538
Na 6.140 4.801 5.235
O -1.077 3.086 21.257
P -1.837 7.547 5.347
O 6.480 2.292 14.136
O -1.050 6.523 12.473
O 1.839 -0.400 20.165
O 5.350 5.930 8.903
Ca -0.072 5.146 0.324
O 1.482 5.436 5.417
S -3.089 5.255 16.393
O 1.035 3.683 7.990
O 5.372 5.718 17.593
O 3.498 5.757 19.935
O 2.600 2.394 16.297
O 5.422 0.712 16.440
P 1.762 7.311 16.429
O 3.493 4.073 5.208
O 3.357 6.345 4.201
Na 1.271 2.433 12.868
O 0.323 3.445 16.557
S 1.483 2.796 9.110
Ca 4.524 2.502 3.960
O 5.691 1.124 0.604
O -1.973 4.992 10.236
O 0.988 3.268 10.408
O 1.502 0.069 12.779
Al 8.799 -0.287 14.270
O 3.758 0.850 5.370
O 7.185 -0.120 9.060
P 3.317 4.673 12.779
O 0.913 1.440 8.988
Ca 0.099 -0.346 18.843
O -1.280 3.247 18.822
P 1.113 2.057 16.442
O 0.532 6.632 7.816
P 7.214 2.151 12.824
O 1.751 4.466 18.775
O 6.391 2.493 5.237
S 2.994 0.062 12.754
O 3.397 3.904 14.089
O 2.561 2.560 2.992
O 1.807 4.958 12.561
Na 4.453 7.223 10.833
O 4.944 6.387 1.854
O 4.029 6.076 12.899
Ca -0.043 4.958 11.246
O 5.488 3.820 16.244
Na 4.184 1.945 18.308
O -0.451 3.645 5.640
O -0.817 3.310 12.678
O 5.509 0.811 3.023
Al -0.023 4.977 17.769
Ca 0.013 -0.165 7.760
O 0.488 1.309 15.160
O -0.520 1.399 4.341
O -2.769 7.405 4.064
O 7.942 1.434 6.793
O 7.999 0.757 12.884
S 1.842 2.414 1.738
O -0.522 6.376 18.962
O -0.940 6.480 21.473
Al 4.562 2.297 10.670
P -1.234 7.187 20.169
O 2.973 2.736 9.157
O 0.875 1.231 17.663
O 0.903 3.524 1.587
Al -0.098 5.146 6.793
O 5.027 4.117 0.613
S 2.992 5.439 5.352
Ca 4.466 2.224 15.020
O 0.996 6.733 1.533
O 1.760 4.762 21.205
Na 4.200 2.264 7.335
Na -4.435 7.710 -0.118
S -2.764 4.858 9.025
O 2.577 7.397 17.698
O 7.580 0.255 1.875
S 2.597 4.587 20.033
Na 5.858 0.008 5.584
O 0.883 6.712 10.375
O 3.405 0.976 11.619
O 1.896 -0.141 6.736
P -1.168 2.245 5.508
O 6.218 2.025 11.597
S -1.653 2.511 20.064
```

Output
size of the total moment	0.0	μB per formula unit
energy relative to the elements	-100.86	eV per formula unit
volume	13.31	Å³ per atom
E	-749.7	eV per cell

(8)
A geometry-optimized BaLaI5 structure. Source: Materials Project, functional PBE.

Geometry as extended XYZ:
```
28
Lattice="15.852 0.000 0.000 0.000 8.806 0.000 0.000 4.105 11.400" Properties=species:S:1:pos:R:3 pbc="T T T"
I 2.074 7.792 1.570
I 5.852 9.844 7.270
I 1.684 3.259 0.007
I 1.807 5.818 6.322
I 9.610 7.599 5.693
I 9.433 4.394 9.184
I 14.045 7.093 5.079
Ba 0.391 5.149 2.957
La 3.908 3.404 6.835
I 4.863 4.848 9.519
I 9.734 9.146 10.779
I 10.989 8.063 1.881
Ba 15.462 7.762 8.444
La 11.945 9.507 4.566
I 6.242 5.311 5.707
I 14.168 9.652 11.393
I 3.063 2.796 3.819
I 13.778 5.119 9.830
Ba 7.535 7.201 8.657
I 6.119 3.765 0.621
La 11.834 11.559 10.266
I 14.345 2.342 3.484
I 1.507 10.569 7.916
La 4.018 1.352 1.134
I 12.790 10.115 7.582
Ba 8.317 5.710 2.743
I 10.000 3.067 4.130
I 6.419 8.517 2.216
```

Output
size of the total moment	0.0	μB per formula unit
distance to the lowest polymorph of the same formula	37	meV per atom
energy relative to the elements	-13.04	eV per formula unit
volume	56.84	Å³ per atom
E	-102.5	eV per cell

(9)
A geometry-optimized KO2 structure. Source: Materials Project, functional PBE.

Geometry as extended XYZ:
```
12
Lattice="5.378 0.000 0.000 0.000 5.551 0.000 0.000 2.242 7.586" Properties=species:S:1:pos:R:3 pbc="T T T"
K 1.384 2.628 3.363
O 1.167 4.199 5.755
K 3.994 5.165 4.222
O 1.327 5.023 4.681
K 1.305 6.524 7.156
O 1.362 1.127 0.889
O 4.016 6.666 6.697
O 4.211 3.593 1.830
K 4.073 1.268 0.429
O 1.522 5.854 1.963
O 3.856 1.939 5.623
O 4.051 2.769 2.904
```

Output
size of the total moment	1.0	μB per formula unit
distance to the lowest polymorph of the same formula	75	meV per atom
energy relative to the elements	-2.74	eV per formula unit
volume	18.87	Å³ per atom
E	-53.7	eV per cell

(10)
A geometry-optimized ReMo3 structure. Source: Materials Project, functional PBE.

Geometry as extended XYZ:
```
4
Lattice="-8.980 -2.593 0.819 -8.094 -4.667 -0.863 -7.777 -4.884 1.924" Properties=species:S:1:pos:R:3 pbc="T T T"
Mo -18.586 -9.082 1.406
Mo -6.264 -3.061 0.474
Mo -12.425 -6.072 0.940
Re 0.000 0.000 0.000
```

Output
size of the total moment	0.0	μB per formula unit
energy relative to the elements	1.23	eV per formula unit
volume	15.84	Å³ per atom
E	-43.7	eV per cell